# 1
Material: Mn2O3
Method: DFT, PBE with a Hubbard U
State: optimized geometry

Computed properties:
Volume (Å³/atom): 12.0
Crystal system: orthorhombic
Final energy (Ry/atom): -0.5395
Energy of formation from the pure elements (eV per atom): -1.787

```
Mn2O3
1.0
1.549 -5.111 0.000
1.549 5.111 0.000
0.000 0.000 15.114
Mn O
8 12
Direct
0.092 0.908 0.639
0.092 0.908 0.861
0.363 0.637 0.547
0.363 0.637 0.953
0.637 0.363 0.047
0.637 0.363 0.453
0.908 0.092 0.139
0.908 0.092 0.361
0.000 0.000 0.000
0.000 0.000 0.500
0.167 0.833 0.750
0.279 0.721 0.075
0.279 0.721 0.425
0.475 0.525 0.649
0.475 0.525 0.851
0.525 0.475 0.149
0.525 0.475 0.351
0.721 0.279 0.575
0.721 0.279 0.925
0.833 0.167 0.250
```

***

# 2
Material: Li6Mn2O5F2
Method: DFT, PBE with a Hubbard U
State: optimized geometry

Computed properties:
Offset from the most stable computed form (eV/atom): 0.003
Volume (Å³/atom): 9.8
Crystal system: monoclinic
Final energy (Ry/atom): -0.4193
Energy of formation from the pure elements (eV per atom): -2.329

```
Li6Mn2O5F2
1.0
5.123 0.000 0.000
0.000 6.019 0.000
-3.076 0.000 9.531
Li Mn O F
12 4 10 4
Direct
0.000 0.009 0.000
0.000 0.991 0.500
0.536 0.032 0.292
0.536 0.968 0.792
0.547 0.471 0.275
0.547 0.529 0.775
0.582 0.264 0.511
0.582 0.736 0.011
0.940 0.274 0.773
0.940 0.726 0.273
0.968 0.456 0.005
0.968 0.544 0.505
0.032 0.239 0.272
0.032 0.761 0.772
0.499 0.224 0.015
0.499 0.776 0.515
0.264 0.236 0.142
0.264 0.764 0.642
0.288 0.036 0.409
0.288 0.964 0.909
0.713 0.237 0.890
0.713 0.763 0.390
0.755 0.446 0.138
0.755 0.554 0.638
0.816 0.261 0.394
0.816 0.739 0.894
0.242 0.463 0.872
0.242 0.537 0.372
0.788 0.048 0.645
0.788 0.952 0.145
```

***

# 3
Material: Li4FeB2O6
Method: DFT, PBE with a Hubbard U
State: optimized geometry

Computed properties:
Offset from the most stable computed form (eV/atom): 0.000
Volume (Å³/atom): 9.5
Crystal system: triclinic
Final energy (Ry/atom): -0.4774
Energy of formation from the pure elements (eV per atom): -2.436

```
Li4FeB2O6
1.0
3.325 0.000 0.000
0.040 12.282 0.000
0.216 2.006 12.140
Li Fe B O
16 4 8 24
Direct
0.000 0.000 0.000
0.001 0.011 0.341
0.004 0.214 0.547
0.013 0.512 0.841
0.015 0.715 0.048
0.017 0.726 0.388
0.018 0.499 0.500
0.490 0.217 0.046
0.503 0.057 0.558
0.504 0.169 0.331
0.505 0.011 0.843
0.512 0.558 0.058
0.512 0.716 0.545
0.514 0.670 0.831
0.526 0.510 0.343
0.998 0.227 0.889
0.008 0.363 0.194
0.009 0.863 0.694
0.508 0.863 0.194
0.509 0.363 0.694
0.022 0.595 0.662
0.024 0.632 0.227
0.495 0.396 0.963
0.497 0.895 0.463
0.520 0.831 0.926
0.522 0.330 0.426
0.992 0.095 0.162
0.995 0.132 0.726
0.004 0.567 0.145
0.007 0.087 0.836
0.010 0.639 0.553
0.012 0.159 0.244
0.021 0.660 0.744
0.027 0.586 0.336
0.034 0.478 0.692
0.038 0.749 0.197
0.483 0.366 0.080
0.486 0.865 0.580
0.494 0.314 0.898
0.495 0.004 0.418
0.503 0.914 0.991
0.508 0.221 0.471
0.509 0.505 0.918
0.514 0.813 0.398
0.521 0.722 0.971
0.523 0.413 0.491
0.531 0.862 0.809
0.533 0.361 0.309
0.979 0.978 0.192
0.983 0.249 0.696
0.989 0.140 0.053
0.996 0.066 0.645
```

***

# 4
Material: Mo2P3O12
Method: DFT, PBE with a Hubbard U
State: optimized geometry

Computed properties:
Offset from the most stable computed form (eV/atom): 0.011
Volume (Å³/atom): 15.0
Crystal system: orthorhombic
Final energy (Ry/atom): -0.5363
Energy of formation from the pure elements (eV per atom): -2.434

```
Mo2P3O12
1.0
8.927 0.000 0.000
0.000 9.139 0.000
0.000 0.000 12.499
Mo P O
8 12 48
Direct
0.245 0.027 0.102
0.245 0.027 0.398
0.245 0.473 0.602
0.245 0.473 0.898
0.755 0.527 0.102
0.755 0.527 0.398
0.755 0.973 0.602
0.755 0.973 0.898
0.036 0.750 0.000
0.036 0.750 0.500
0.399 0.123 0.633
0.399 0.123 0.867
0.399 0.377 0.133
0.399 0.377 0.367
0.601 0.623 0.633
0.601 0.623 0.867
0.601 0.877 0.133
0.601 0.877 0.367
0.964 0.250 0.000
0.964 0.250 0.500
0.063 0.142 0.065
0.063 0.142 0.435
0.063 0.358 0.565
0.063 0.358 0.935
0.132 0.665 0.580
0.132 0.665 0.920
0.132 0.835 0.080
0.132 0.835 0.420
0.204 0.028 0.250
0.204 0.472 0.750
0.306 0.027 0.557
0.306 0.027 0.943
0.306 0.473 0.057
0.306 0.473 0.443
0.341 0.074 0.750
0.341 0.426 0.250
0.372 0.215 0.119
0.372 0.215 0.381
0.372 0.285 0.619
0.372 0.285 0.881
0.433 0.593 0.628
0.433 0.593 0.872
0.433 0.907 0.128
0.433 0.907 0.372
0.567 0.093 0.628
0.567 0.093 0.872
0.567 0.407 0.128
0.567 0.407 0.372
0.628 0.715 0.119
0.628 0.715 0.381
0.628 0.785 0.619
0.628 0.785 0.881
0.659 0.574 0.750
0.659 0.926 0.250
0.694 0.527 0.557
0.694 0.527 0.943
0.694 0.973 0.057
0.694 0.973 0.443
0.796 0.528 0.250
0.796 0.972 0.750
0.868 0.165 0.580
0.868 0.165 0.920
0.868 0.335 0.080
0.868 0.335 0.420
0.937 0.642 0.065
0.937 0.642 0.435
0.937 0.858 0.565
0.937 0.858 0.935
```

***

# 5
Material: Li32Mn11Cr5O48
Method: DFT, PBE with a Hubbard U
State: optimized geometry

Computed properties:
Offset from the most stable computed form (eV/atom): 0.000
Volume (Å³/atom): 8.7
Crystal system: triclinic
Final energy (Ry/atom): -0.4571
Energy of formation from the pure elements (eV per atom): -2.195

```
Li32Mn11Cr5O48
1.0
5.003 0.000 0.000
-2.490 4.350 0.000
-0.657 -1.252 38.392
Li Mn Cr O
32 11 5 48
Direct
0.000 0.000 0.000
0.021 0.347 0.062
0.059 0.063 0.187
0.095 0.770 0.313
0.121 0.122 0.375
0.145 0.471 0.438
0.184 0.185 0.562
0.214 0.893 0.687
0.245 0.248 0.750
0.268 0.594 0.812
0.307 0.307 0.937
0.346 0.026 0.063
0.371 0.372 0.125
0.397 0.721 0.187
0.435 0.437 0.313
0.471 0.149 0.437
0.497 0.495 0.500
0.520 0.846 0.562
0.559 0.559 0.688
0.598 0.276 0.813
0.621 0.623 0.875
0.648 0.976 0.938
0.683 0.682 0.063
0.719 0.397 0.187
0.743 0.744 0.250
0.770 0.098 0.312
0.809 0.810 0.437
0.845 0.525 0.562
0.872 0.871 0.625
0.902 0.228 0.688
0.934 0.935 0.813
0.970 0.645 0.937
0.038 0.705 0.125
0.079 0.414 0.250
0.204 0.539 0.625
0.288 0.955 0.875
0.454 0.789 0.375
0.663 0.331 0.000
0.704 0.039 0.125
0.788 0.455 0.375
0.829 0.165 0.500
0.913 0.580 0.750
0.954 0.289 0.875
0.165 0.827 0.500
0.334 0.670 0.000
0.408 0.075 0.250
0.540 0.201 0.625
0.576 0.918 0.750
0.004 0.005 0.096
0.004 0.646 0.028
0.021 0.381 0.153
0.096 0.739 0.222
0.113 0.471 0.347
0.118 0.117 0.278
0.128 0.130 0.471
0.129 0.773 0.403
0.145 0.508 0.528
0.215 0.858 0.597
0.233 0.592 0.722
0.239 0.241 0.653
0.254 0.255 0.847
0.255 0.897 0.778
0.272 0.631 0.903
0.346 0.994 0.972
0.363 0.359 0.029
0.363 0.722 0.097
0.378 0.385 0.221
0.379 0.022 0.153
0.396 0.751 0.278
0.470 0.114 0.347
0.486 0.848 0.472
0.487 0.489 0.403
0.503 0.505 0.596
0.510 0.154 0.528
0.520 0.883 0.653
0.597 0.238 0.722
0.613 0.971 0.847
0.614 0.615 0.779
0.624 0.628 0.972
0.629 0.274 0.903
0.645 0.005 0.028
0.720 0.364 0.097
0.737 0.099 0.222
0.738 0.740 0.153
0.755 0.756 0.347
0.757 0.401 0.278
0.772 0.131 0.403
0.839 0.483 0.472
0.861 0.224 0.597
0.863 0.866 0.528
0.879 0.879 0.721
0.885 0.529 0.653
0.902 0.261 0.778
0.970 0.614 0.847
0.985 0.345 0.972
0.987 0.989 0.903
```

***

# 6
Material: Sr2VO4
Method: DFT, PBE with a Hubbard U
State: optimized geometry

Computed properties:
Offset from the most stable computed form (eV/atom): 0.071
Volume (Å³/atom): 15.4
Crystal system: orthorhombic
Final energy (Ry/atom): -0.5044
Energy of formation from the pure elements (eV per atom): -2.891

```
Sr2VO4
1.0
14.259 0.000 0.000
0.000 5.904 0.000
0.000 0.000 10.236
Sr V O
16 8 32
Direct
0.050 0.225 0.000
0.120 0.190 0.645
0.130 0.730 0.223
0.206 0.693 0.869
0.294 0.193 0.369
0.370 0.230 0.723
0.380 0.690 0.145
0.450 0.725 0.500
0.550 0.275 0.000
0.620 0.310 0.645
0.630 0.770 0.223
0.706 0.807 0.869
0.794 0.307 0.369
0.870 0.270 0.723
0.880 0.810 0.145
0.950 0.775 0.500
0.027 0.278 0.354
0.223 0.696 0.514
0.277 0.196 0.014
0.473 0.778 0.854
0.527 0.222 0.354
0.723 0.804 0.514
0.777 0.304 0.014
0.973 0.722 0.854
0.012 0.065 0.230
0.026 0.464 0.784
0.047 0.786 0.996
0.121 0.858 0.467
0.139 0.379 0.418
0.199 0.133 0.870
0.208 0.450 0.075
0.243 0.505 0.651
0.257 0.005 0.151
0.292 0.950 0.575
0.301 0.633 0.370
0.361 0.879 0.918
0.379 0.358 0.967
0.453 0.286 0.496
0.474 0.964 0.284
0.488 0.565 0.730
0.512 0.435 0.230
0.526 0.036 0.784
0.547 0.714 0.996
0.621 0.642 0.467
0.639 0.121 0.418
0.699 0.367 0.870
0.708 0.050 0.075
0.743 0.995 0.651
0.757 0.495 0.151
0.792 0.550 0.575
0.801 0.867 0.370
0.861 0.621 0.918
0.879 0.142 0.967
0.953 0.214 0.496
0.974 0.536 0.284
0.988 0.935 0.730
```

***

# 7
Material: Li7Mn5O12
Method: DFT, PBE with a Hubbard U
State: optimized geometry

Computed properties:
Offset from the most stable computed form (eV/atom): 0.021
Volume (Å³/atom): 9.2
Crystal system: triclinic
Final energy (Ry/atom): -0.4693
Energy of formation from the pure elements (eV per atom): -2.136

```
Li7Mn5O12
1.0
5.837 0.000 0.000
-0.017 8.625 0.000
-0.056 -2.831 8.753
Li Mn O
14 10 24
Direct
0.000 0.000 0.000
0.003 0.341 0.022
0.253 0.085 0.753
0.253 0.416 0.744
0.256 0.254 0.254
0.256 0.747 0.748
0.494 0.172 0.503
0.500 0.500 0.500
0.506 0.828 0.497
0.744 0.253 0.252
0.744 0.746 0.746
0.747 0.584 0.256
0.747 0.915 0.247
0.997 0.659 0.978
0.000 0.500 0.500
0.001 0.164 0.492
0.253 0.919 0.250
0.256 0.583 0.256
0.499 0.336 0.009
0.500 0.000 0.000
0.501 0.664 0.991
0.744 0.417 0.744
0.747 0.081 0.750
0.999 0.836 0.508
0.013 0.436 0.276
0.015 0.082 0.273
0.023 0.760 0.278
0.222 0.331 0.501
0.224 0.673 0.515
0.228 0.004 0.507
0.265 0.502 0.998
0.266 0.835 0.992
0.273 0.166 0.999
0.479 0.754 0.255
0.489 0.430 0.256
0.490 0.066 0.224
0.510 0.934 0.776
0.511 0.570 0.744
0.521 0.246 0.745
0.727 0.834 0.001
0.734 0.165 0.008
0.735 0.498 0.002
0.772 0.996 0.493
0.776 0.327 0.485
0.778 0.669 0.499
0.977 0.240 0.722
0.985 0.918 0.727
0.987 0.564 0.724
```

***

# 8
Material: Li4Mn3Nb2V3O16
Method: DFT, PBE with a Hubbard U
State: optimized geometry

Computed properties:
Offset from the most stable computed form (eV/atom): 0.000
Volume (Å³/atom): 11.0
Crystal system: triclinic
Final energy (Ry/atom): -0.5541
Energy of formation from the pure elements (eV per atom): -2.515

```
Li4Mn3Nb2V3O16
1.0
5.921 0.000 0.000
2.949 5.332 0.000
0.000 0.434 9.795
Li Mn Nb V O
4 3 2 3 16
Direct
0.000 0.000 0.000
0.005 0.991 0.499
0.345 0.305 0.589
0.671 0.652 0.087
0.171 0.657 0.279
0.343 0.820 0.774
0.835 0.819 0.774
0.335 0.331 0.995
0.680 0.638 0.494
0.180 0.166 0.268
0.658 0.165 0.274
0.833 0.332 0.771
0.000 0.016 0.188
0.002 0.994 0.686
0.043 0.456 0.143
0.158 0.180 0.899
0.162 0.672 0.899
0.335 0.294 0.383
0.341 0.834 0.402
0.475 0.029 0.145
0.494 0.458 0.143
0.528 0.942 0.653
0.532 0.493 0.638
0.661 0.177 0.900
0.672 0.653 0.875
0.823 0.837 0.402
0.839 0.328 0.390
0.972 0.495 0.639
```